The following is a DFT calculation (PBE) of an optimized crystal structure of K3IrF6.

abc: 6.6879 6.7069 6.7301
angles: 103.20 103.17 104.28
Space group P-1 (No. 2)
Asymmetric unit:
K  0.0000  0.0000  0.0000
K  0.0000  0.5000  0.5000
K  0.5000  0.0000  0.5000
Ir  0.0000  0.0000  0.5000
F  0.0543  0.7747  0.2735
F  0.2214  0.9311  0.7177
F  0.2244  0.2219  0.4311

Calculated values
Crystal system: triclinic
E (MP2020): -4.86 eV/atom
Uncorrected energy: -45.85 eV per cell


The following is a DFT calculation (PBE) of an optimized crystal structure of K3IrF6.

abc: 9.0365 9.0365 9.0365
angles: 90.00 90.00 90.00
Space group Fm-3m (No. 225)
Asymmetric unit:
K  0.0000  0.0000  0.0000
K  0.2500  0.2500  0.2500
Ir  0.0000  0.0000  0.5000
F  0.0000  0.0000  0.2751

Calculated values
Crystal system: cubic
E (MP2020): -4.88 eV/atom
Uncorrected energy: -184.05 eV per cell


The following is a DFT calculation (PBE) of an optimized crystal structure of K3IrF6.

abc: 6.6794 6.6891 6.7563
angles: 102.33 101.11 105.56
Space group P-1 (No. 2)
Asymmetric unit:
K  0.0000  0.0000  0.0000
K  0.0000  0.5000  0.5000
K  0.5000  0.0000  0.5000
Ir  0.0000  0.0000  0.5000
F  0.0476  0.7736  0.2731
F  0.2127  0.9265  0.7115
F  0.2287  0.2204  0.4207

Calculated values
Crystal system: triclinic
E (MP2020): -4.86 eV/atom
Uncorrected energy: -45.83 eV per cell


The following is a DFT calculation (PBE) of an optimized crystal structure of K2LiIrF6.

abc: 8.2350 8.2350 8.2350
angles: 90.00 90.00 90.00
Space group Fm-3m (No. 225)
Asymmetric unit:
K  0.2500  0.2500  0.2500
Li  0.0000  0.0000  0.0000
Ir  0.0000  0.0000  0.5000
F  0.0000  0.0000  0.2524

Calculated values
Crystal system: cubic
E (MP2020): -5.02 eV/atom
Uncorrected energy: -189.87 eV per cell


The following is a DFT calculation (PBE) of an optimized crystal structure of K2NaIrF6.

abc: 8.5550 8.5550 8.5550
angles: 90.00 90.00 90.00
Space group Fm-3m (No. 225)
Asymmetric unit:
K  0.2500  0.2500  0.2500
Na  0.0000  0.0000  0.0000
Ir  0.0000  0.0000  0.5000
F  0.0000  0.0000  0.2623

Calculated values
Crystal system: cubic
E (MP2020): -4.94 eV/atom
Uncorrected energy: -186.36 eV per cell


The following is a DFT calculation (PBE) of an optimized crystal structure of KRb2IrF6.

abc: 9.1241 9.1241 9.1241
angles: 90.00 90.00 90.00
Space group Fm-3m (No. 225)
Asymmetric unit:
K  0.0000  0.0000  0.0000
Rb  0.2500  0.2500  0.2500
Ir  0.0000  0.0000  0.5000
F  0.0000  0.0000  0.2766

Calculated values
Crystal system: cubic
E (MP2020): -4.88 eV/atom
Uncorrected energy: -184.04 eV per cell


The following is a DFT calculation (PBE) of an optimized crystal structure of LiIrF6.

abc: 5.2207 5.2207 13.7899
angles: 90.00 90.00 120.00
Space group R-3 (No. 148, hexagonal axes)
Asymmetric unit:
Li  0.0000  0.0000  0.0000
Ir  0.0000  0.0000  0.5000
F  0.0139  0.3922  0.2470

Calculated values
Crystal system: trigonal
E (MP2020): -5.00 eV/atom
Uncorrected energy: -111.61 eV per cell


The following is a DFT calculation (PBE) of an optimized crystal structure of Na2LiIrF6.

abc: 8.0096 8.0096 8.0096
angles: 90.00 90.00 90.00
Space group Fm-3m (No. 225)
Asymmetric unit:
Na  0.2500  0.2500  0.2500
Li  0.0000  0.0000  0.0000
Ir  0.0000  0.0000  0.5000
F  0.0000  0.0000  0.2477

Calculated values
Crystal system: cubic
E (MP2020): -4.95 eV/atom
Uncorrected energy: -186.87 eV per cell


The following is a DFT calculation (PBE) of an optimized crystal structure of Rb2LiIrF6.

abc: 8.4205 8.4205 8.4205
angles: 90.00 90.00 90.00
Space group Fm-3m (No. 225)
Asymmetric unit:
Rb  0.2500  0.2500  0.2500
Li  0.0000  0.0000  0.0000
Ir  0.0000  0.0000  0.5000
F  0.0000  0.0000  0.2564

Calculated values
Crystal system: cubic
E (MP2020): -4.98 eV/atom
Uncorrected energy: -188.07 eV per cell


The following is a DFT calculation (PBE) of an optimized crystal structure of Rb3IrF6.

abc: 9.3333 9.3333 9.3333
angles: 90.00 90.00 90.00
Space group Fm-3m (No. 225)
Asymmetric unit:
Rb  0.0000  0.0000  0.0000
Rb  0.2500  0.2500  0.2500
Ir  0.0000  0.0000  0.5000
F  0.0000  0.0000  0.2817

Calculated values
Crystal system: cubic
E (MP2020): -4.83 eV/atom
Uncorrected energy: -182.19 eV per cell


The following is a DFT calculation (PBE) of an optimized crystal structure of Rb2TlIrF6.

abc: 9.3341 9.3341 9.3341
angles: 90.00 90.00 90.00
Space group Fm-3m (No. 225)
Asymmetric unit:
Rb  0.2500  0.2500  0.2500
Tl  0.0000  0.0000  0.0000
Ir  0.0000  0.0000  0.5000
F  0.0000  0.0000  0.2812

Calculated values
Crystal system: cubic
E (MP2020): -4.77 eV/atom
Uncorrected energy: -179.89 eV per cell


The following is a DFT calculation (PBE) of an optimized crystal structure of KF.

abc: 5.4240 5.4240 5.4240
angles: 90.00 90.00 90.00
Space group Fm-3m (No. 225)
Asymmetric unit:
K  0.0000  0.0000  0.0000
F  0.0000  0.0000  0.5000

Calculated values
Crystal system: cubic
E (MP2020): -4.45 eV/atom
Uncorrected energy: -33.73 eV per cell